Compound: LiV2O4
Source: the Materials Project database
Functional: PBE with a Hubbard U
Structure: relaxed

Lattice parameters (Å, degrees): 5.9375 5.9375 5.9375 120.64 118.69 90.59
Last column: nearest neighbours and their distance in Å.
Element x y z (fractional)
O 0.2274 0.2386 0.9888  2 V 1.82-1.99
O 0.7490 0.2404 0.9914  3 V 1.87-2.08, 1 Li 2.08
V 0.5000 0.0000 0.5000  6 O 1.99-2.08
O 0.7490 0.7576 0.5086  3 V 1.87-2.08, 1 Li 2.08
O 0.7498 0.2386 0.5112  2 V 1.82-1.99
O 0.2502 0.7614 0.4888  2 V 1.82-1.99
Li 0.5000 0.5000 0.5000  6 O 2.08-2.16
O 0.2510 0.7596 0.0086  3 V 1.87-2.08, 1 Li 2.08
Li 0.5000 0.0000 0.0000  6 O 2.08-2.16
O 0.2510 0.2424 0.4914  3 V 1.87-2.08, 1 Li 2.08
V 0.1204 0.3704 0.7500  4 O 1.82-1.87
V 0.8796 0.6296 0.2500  4 O 1.82-1.87
V 0.0000 0.0000 0.0000  6 O 1.99-2.08
O 0.7726 0.7614 0.0112  2 V 1.82-1.99


Compound: Dy2CrSbO7
Source: the Materials Project database
Functional: PBE with a Hubbard U
Structure: relaxed

Lattice parameters (Å, degrees): 7.2827 7.2827 7.2827 120.20 119.53 90.24
Last column: nearest neighbours and their distance in Å.
Element x y z (fractional)
O 0.6679 0.4179 0.2500  2 Sb 2.02
Dy 0.5000 0.5000 0.5000  2 O 2.21
O 0.9114 0.5798 0.7429  1 Sb 1.99, 1 Cr 2.04
Sb 0.0000 0.5000 0.5000  6 O 1.99-2.02
Sb 0.5000 0.5000 0.0000  6 O 1.99-2.02
O 0.3369 0.1685 0.7571  1 Sb 1.99, 1 Cr 2.04
O 0.3321 0.5821 0.7500  2 Sb 2.02
O 0.3776 0.1276 0.2500  4 Dy 2.21-2.25
Cr 0.0000 0.0000 0.5000  6 O 2.04
O 0.6224 0.8724 0.7500  4 Dy 2.21-2.25
O 0.0901 0.8401 0.2500  2 Cr 2.04
O 0.0886 0.4202 0.2571  1 Sb 1.99, 1 Cr 2.04
O 0.6631 0.4202 0.8316  1 Sb 1.99, 1 Cr 2.04
O 0.3369 0.5798 0.1684  1 Sb 1.99, 1 Cr 2.04
Dy 0.5000 0.0000 0.5000  8 O 2.25-2.51
Dy 0.5000 0.0000 0.0000  2 O 2.21
O 0.9099 0.1599 0.7500  2 Cr 2.04
Dy 0.0000 0.0000 0.0000  8 O 2.25-2.51
Cr 0.0000 0.5000 0.0000  6 O 2.04
O 0.0886 0.8315 0.6684  1 Sb 1.99, 1 Cr 2.04
O 0.6631 0.8315 0.2429  1 Sb 1.99, 1 Cr 2.04
O 0.9114 0.1685 0.3316  1 Sb 1.99, 1 Cr 2.04


Compound: Cr5Si4O14
Source: the Materials Project database
Functional: PBE with a Hubbard U
Structure: relaxed

Lattice parameters (Å, degrees): 7.4359 7.9198 5.7719 89.72 107.50 112.62
Last column: nearest neighbours and their distance in Å.
Element x y z (fractional)
O 0.7666 0.7417 0.9958  1 Si 1.67
O 0.2334 0.2583 0.0043  1 Si 1.67
Si 0.7841 0.6147 0.2275  4 O 1.58-1.68
Si 0.2159 0.3853 0.7725  4 O 1.58-1.68
Cr 0.5764 0.6967 0.6441  5 O 1.99-2.06
O 0.0076 0.2586 0.5494  2 Si 1.63-1.64
O 0.9924 0.7414 0.4504  2 Si 1.63-1.64
O 0.6435 0.0478 0.2194  1 Si 1.62
O 0.3566 0.9521 0.7806  1 Si 1.62
Cr 0.3896 0.8085 0.0752  4 O 1.94-2.06
O 0.6491 0.2529 0.5906  1 Si 1.66
Cr 0.4236 0.3033 0.3559  5 O 1.99-2.06
Si 0.7645 0.1347 0.5037  4 O 1.62-1.67
O 0.5947 0.5774 0.3487  1 Si 1.68
O 0.2248 0.5798 0.8546  1 Si 1.58
O 0.7646 0.9677 0.6802  1 Si 1.67
Cr 0.9997 0.0000 0.0000  4 O 2.06-2.11
Si 0.2356 0.8653 0.4963  4 O 1.62-1.67
O 0.7751 0.4203 0.1453  1 Si 1.58
O 0.2355 0.0323 0.3198  1 Si 1.67
Cr 0.6103 0.1913 0.9250  4 O 1.95-2.06
O 0.4054 0.4226 0.6513  1 Si 1.68
O 0.3510 0.7470 0.4093  1 Si 1.66


Compound: LiCoPO4
Source: the Materials Project database
Functional: PBE with a Hubbard U
Structure: relaxed

Lattice parameters (Å, degrees): 5.9064 6.4588 9.4601 74.23 95.52 99.73
Last column: nearest neighbours and their distance in Å.
Element x y z (fractional)
Co 0.8021 0.3722 0.9282  5 O 1.99-2.18
O 0.1228 0.3393 0.0126  1 P 1.57
O 0.7279 0.8412 0.1616  1 P 1.55
P 0.1552 0.2876 0.3813  4 O 1.54-1.57
O 0.2610 0.5235 0.2952  1 P 1.57
P 0.8457 0.7117 0.6187  4 O 1.54-1.57
O 0.0928 0.7808 0.6762  1 P 1.54
O 0.8765 0.6612 0.9875  1 P 1.57
P 0.7179 0.8263 0.0003  4 O 1.54-1.57
O 0.7388 0.4762 0.7048  1 P 1.57
Li 0.4274 0.3433 0.6748  3 O 1.89-1.92
O 0.9084 0.2175 0.3236  1 P 1.54
O 0.3009 0.1194 0.3569  1 P 1.57
O 0.2015 0.9486 0.1066  1 P 1.56
O 0.1686 0.2846 0.5465  1 P 1.55
P 0.2814 0.1743 0.9998  4 O 1.54-1.57
O 0.8314 0.7150 0.4535  1 P 1.55
Li 0.5939 0.1643 0.2619  3 O 1.90-1.97
Co 0.1974 0.6282 0.0718  5 O 1.99-2.18
Co 0.0249 0.9218 0.2873  5 O 2.04-2.25
O 0.5285 0.2596 0.0489  1 P 1.54
Li 0.4072 0.8351 0.7377  3 O 1.90-1.97
O 0.4708 0.7411 0.9510  1 P 1.54
Li 0.5716 0.6577 0.3252  3 O 1.89-1.92
O 0.7980 0.0520 0.8933  1 P 1.56
Co 0.9754 0.0778 0.7130  5 O 2.04-2.27
O 0.7007 0.8803 0.6435  1 P 1.57
O 0.2714 0.1595 0.8385  1 P 1.55


Compound: Li7Co5O12
Source: the Materials Project database
Functional: PBE with a Hubbard U
Structure: relaxed

Lattice parameters (Å, degrees): 7.6477 7.6477 10.0990 72.13 72.13 21.54
Last column: nearest neighbours and their distance in Å.
Element x y z (fractional)
O 0.9195 0.9195 0.3853  3 Co 1.92-2.03, 2 Li 2.10
Li 0.1666 0.1666 0.2509  6 O 2.04-2.19
Co 0.3358 0.3358 0.0036  6 O 1.79-2.00
O 0.2472 0.2472 0.3812  3 Co 2.01-2.02, 3 Li 2.05-2.11
Li 0.1656 0.1656 0.7521  6 O 2.02-2.16
Li 0.8344 0.8344 0.2479  6 O 2.02-2.16
O 0.2448 0.2448 0.8958  3 Co 1.94-2.00, 1 Li 2.14
O 0.4218 0.4218 0.6153  3 Co 1.98-2.02, 3 Li 2.11-2.12
O 0.5782 0.5782 0.3847  3 Co 1.98-2.02, 3 Li 2.11-2.12
O 0.5933 0.5933 0.8835  1 Co 1.79
O 0.9036 0.9036 0.8920  2 Co 1.91, 2 Li 2.04-2.07
O 0.7552 0.7552 0.1042  3 Co 1.94-2.00, 1 Li 2.14
Co 0.6642 0.6642 0.9964  6 O 1.79-2.00
O 0.0964 0.0964 0.1080  2 Co 1.91, 2 Li 2.04-2.07
Li 0.0000 0.0000 0.0000  6 O 2.07-2.09
O 0.4067 0.4067 0.1165  1 Co 1.79
Li 0.8334 0.8334 0.7491  6 O 2.04-2.19
O 0.0805 0.0805 0.6147  3 Co 1.92-2.03, 2 Li 2.10
Li 0.5010 0.5010 0.7554  6 O 2.10-2.20
Co 0.0000 0.0000 0.5000  6 O 1.92-1.98
O 0.7528 0.7528 0.6188  3 Co 2.01-2.02, 3 Li 2.05-2.11
Co 0.6668 0.6668 0.4998  6 O 2.01-2.03
Li 0.4990 0.4990 0.2446  6 O 2.10-2.20
Co 0.3332 0.3332 0.5002  6 O 2.01-2.03


Compound: Ca3LaTi2Cr2O12
Source: the Materials Project database
Functional: PBE with a Hubbard U
Structure: relaxed

Lattice parameters (Å, degrees): 7.7098 9.4337 7.7812 114.00 90.60 113.82
Last column: nearest neighbours and their distance in Å.
Element x y z (fractional)
O 0.2722 0.9678 0.4810  1 Ti 1.97, 1 Cr 2.01
O 0.5258 0.0419 0.8085  1 Ti 1.93, 1 Cr 2.01
O 0.2269 0.0357 0.0212  1 Ti 1.95, 1 Cr 2.02
O 0.9291 0.2556 0.9035  1 Cr 1.92, 1 Ti 1.96
O 0.9739 0.9561 0.6908  1 Ti 1.97, 1 Cr 2.01
Cr 0.4977 0.4973 0.4986  6 O 1.92-2.00
Ti 0.2543 0.0092 0.2540  6 O 1.93-2.08
O 0.2342 0.4567 0.5124  1 Cr 1.92, 1 Ti 2.01
Cr 0.2511 0.0020 0.7509  6 O 1.99-2.02
Ca 0.9011 0.7531 0.3618  6 O 2.37-2.62
O 0.3457 0.2543 0.8312  1 Ti 1.89, 1 Cr 1.99
O 0.0259 0.0418 0.3084  1 Ti 1.93, 1 Cr 2.01
La 0.3886 0.7523 0.3561  7 O 2.40-2.66
O 0.4740 0.9559 0.1908  1 Ti 1.97, 1 Cr 2.01
O 0.5528 0.5370 0.7685  1 Cr 1.99, 1 Ti 2.00
O 0.4297 0.2556 0.4035  1 Cr 1.92, 1 Ti 1.95
O 0.6574 0.7450 0.1645  1 Ti 1.99, 1 Cr 2.03
O 0.7723 0.9677 0.9810  1 Ti 1.97, 1 Cr 2.01
Ca 0.6072 0.2474 0.6488  7 O 2.38-2.64
O 0.5778 0.7443 0.5999  1 Cr 1.94, 1 Ti 2.07
O 0.0527 0.5369 0.2685  1 Cr 1.99, 1 Ti 2.00
O 0.9410 0.4605 0.7282  1 Ti 1.97, 1 Cr 2.00
O 0.4410 0.4605 0.2284  1 Ti 1.97, 1 Cr 2.00
O 0.7342 0.4569 0.0123  1 Cr 1.92, 1 Ti 2.01
Ca 0.1005 0.2476 0.6378  6 O 2.37-2.63
Ca 0.4006 0.7530 0.8619  6 O 2.37-2.63
Cr 0.9976 0.4973 0.9986  6 O 1.92-2.00
O 0.1573 0.7450 0.6645  1 Ti 1.99, 1 Cr 2.02
Cr 0.7512 0.0020 0.2508  6 O 1.99-2.03
O 0.2663 0.5430 0.9855  1 Cr 1.95, 1 Ti 2.01
Ca 0.6010 0.2478 0.1376  6 O 2.37-2.64
O 0.8458 0.2543 0.3311  1 Ti 1.89, 1 Cr 1.99
Ti 0.4960 0.4935 0.9972  6 O 1.89-2.01
O 0.7269 0.0357 0.5211  1 Ti 1.95, 1 Cr 2.02
La 0.8888 0.7523 0.8565  7 O 2.40-2.66
O 0.7665 0.5434 0.4857  1 Cr 1.95, 1 Ti 2.02
O 0.0782 0.7441 0.0998  1 Cr 1.94, 1 Ti 2.08
Ti 0.7538 0.0086 0.7537  6 O 1.93-2.07
Ca 0.1070 0.2474 0.1483  7 O 2.38-2.64
Ti 0.9960 0.4935 0.4972  6 O 1.89-2.02


Compound: Co4GeC13O13
Source: the Materials Project database
Functional: PBE with a Hubbard U
Structure: relaxed

Lattice parameters (Å, degrees): 8.1393 8.8923 15.9384 89.11 104.74 110.55
Last column: nearest neighbours and their distance in Å.
Element x y z (fractional)
C 0.8063 0.3902 0.9055  1 O 1.16
O 0.1329 0.5643 0.3317  1 C 1.16
Co 0.6327 0.2137 0.9222  4 C 1.77-1.78
O 0.7371 0.4501 0.1531  1 C 1.16
O 0.0760 0.8446 0.4744  1 C 1.16
Co 0.1814 0.1455 0.6904  3 C 1.74-1.78
Co 0.5169 0.7590 0.3622  3 C 1.75-1.79
C 0.2742 0.5099 0.6114  1 O 1.16
C 0.6257 0.7285 0.4699  1 O 1.16
O 0.8671 0.4357 0.6683  1 C 1.16
C 0.5908 0.0254 0.8688  1 O 1.16
C 0.9329 0.8480 0.2316  1 O 1.16
O 0.6893 0.7112 0.5416  1 C 1.16
O 0.0150 0.8487 0.1816  1 C 1.16
O 0.1596 0.8547 0.9121  1 C 1.15
O 0.8567 0.1925 0.3065  1 C 1.16
O 0.9198 0.5068 0.8964  1 C 1.16
C 0.4092 0.9746 0.1312  1 O 1.16
C 0.1615 0.9425 0.6923  1 O 1.16
C 0.6873 0.4913 0.2075  1 O 1.16
O 0.7960 0.4427 0.4500  1 C 1.16
O 0.0802 0.4932 0.1036  1 C 1.16
O 0.9240 0.1554 0.5256  1 C 1.16
C 0.0329 0.1579 0.5892  1 O 1.16
C 0.3127 0.5087 0.7925  1 O 1.16
C 0.5388 0.7487 0.0404  1 O 1.16
O 0.1433 0.8075 0.6935  1 C 1.16
C 0.2863 0.6401 0.3426  1 O 1.16
O 0.4828 0.0715 0.3796  1 C 1.16
O 0.8404 0.1453 0.0879  1 C 1.15
C 0.8385 0.0575 0.3077  1 O 1.16
O 0.3107 0.2888 0.4584  1 C 1.16
O 0.5172 0.9285 0.6204  1 C 1.16
C 0.7588 0.1750 0.0235  1 O 1.15
C 0.9671 0.8421 0.4108  1 O 1.16
C 0.0671 0.1520 0.7684  1 O 1.16
C 0.6102 0.6073 0.7353  1 O 1.16
C 0.5006 0.0515 0.6290  1 O 1.16
C 0.2412 0.8250 0.9765  1 O 1.15
O 0.2629 0.5499 0.8469  1 C 1.16
C 0.4612 0.2513 0.9596  1 O 1.16
Ge 0.5283 0.7478 0.2194  4 Co 2.30-2.39
C 0.7258 0.4901 0.3886  1 O 1.16
O 0.6468 0.7226 0.0136  1 C 1.16
C 0.7137 0.3599 0.6574  1 O 1.16
Co 0.3936 0.4550 0.7106  3 C 1.74-1.79
Co 0.4831 0.2410 0.6378  3 C 1.75-1.79
O 0.2494 0.2886 0.2486  1 C 1.16
C 0.3898 0.3927 0.2647  1 O 1.16
Co 0.3673 0.7863 0.0778  4 C 1.77-1.78
O 0.3532 0.2774 0.9864  1 C 1.16
Co 0.6064 0.5450 0.2894  3 C 1.74-1.79
C 0.1937 0.6098 0.0945  1 O 1.16
O 0.2040 0.5573 0.5500  1 C 1.16
O 0.4345 0.0989 0.1642  1 C 1.16
O 0.7506 0.7114 0.7514  1 C 1.16
C 0.4994 0.9485 0.3710  1 O 1.16
Co 0.8186 0.8545 0.3096  3 C 1.74-1.78
Ge 0.4717 0.2522 0.7806  4 Co 2.30-2.39
O 0.9850 0.1513 0.8184  1 C 1.16
O 0.5655 0.9011 0.8358  1 C 1.16
C 0.3743 0.2715 0.5301  1 O 1.16


Compound: Na2LiFeSi6O15
Source: the Materials Project database
Functional: PBE with a Hubbard U
Structure: relaxed

Lattice parameters (Å, degrees): 11.3147 11.3147 10.2253 90.00 90.00 101.77
Last column: nearest neighbours and their distance in Å.
Element x y z (fractional)
O 0.4097 0.8556 0.5052  2 Si 1.64
Si 0.5768 0.1984 0.0419  4 O 1.60-1.65
O 0.8556 0.4097 0.4948  2 Si 1.64
Si 0.4591 0.3149 0.8070  4 O 1.60-1.65
O 0.5015 0.1637 0.1735  1 Si 1.60
Si 0.9805 0.2439 0.0130  4 O 1.60-1.65
Na 0.0257 0.4743 0.2500  2 O 2.35
O 0.1636 0.1735 0.6629  1 Si 1.60
Si 0.2561 0.5195 0.4870  4 O 1.60-1.65
Si 0.1851 0.0409 0.6930  4 O 1.60-1.65
Si 0.7439 0.4805 0.5130  4 O 1.60-1.65
O 0.2204 0.4978 0.0872  2 Si 1.64
Si 0.0409 0.1851 0.3070  4 O 1.60-1.65
Fe 0.6636 0.8364 0.7500  6 O 2.02-2.05
O 0.8364 0.8265 0.3371  1 Si 1.60
O 0.3265 0.3364 0.8371  1 Si 1.60
Na 0.9743 0.5257 0.7500  2 O 2.35
O 0.0918 0.2508 0.9152  1 Si 1.60
O 0.4978 0.2204 0.9128  2 Si 1.64
O 0.0903 0.6444 0.0052  2 Si 1.64
O 0.6637 0.0015 0.6735  1 Si 1.60
O 0.6759 0.3241 0.0706  2 Si 1.65
O 0.8838 0.1162 0.9845  2 Si 1.65
O 0.8265 0.8364 0.6629  1 Si 1.60
O 0.7204 0.9978 0.4128  2 Si 1.64
O 0.4470 0.5530 0.1903  2 Si 1.65
O 0.7510 0.5247 0.6667  2 Si 1.64-1.65
O 0.1444 0.5903 0.5052  2 Si 1.64
Na 0.5843 0.4157 0.2484  3 O 2.43-2.48
O 0.6162 0.3838 0.4845  2 Si 1.65
Si 0.3149 0.4591 0.1930  4 O 1.60-1.65
O 0.0247 0.2510 0.1667  2 Si 1.64-1.65
O 0.9753 0.7490 0.8333  2 Si 1.64-1.65
O 0.1637 0.5015 0.8265  1 Si 1.60
Si 0.3016 0.9232 0.4581  4 O 1.60-1.65
O 0.3556 0.9097 0.0052  2 Si 1.64
O 0.2490 0.4753 0.3333  2 Si 1.64-1.65
Si 0.7561 0.0195 0.0130  4 O 1.60-1.65
O 0.9978 0.7204 0.5872  2 Si 1.64
O 0.1759 0.8241 0.4294  2 Si 1.65
Si 0.4232 0.8016 0.9581  4 O 1.60-1.65
Si 0.2439 0.9805 0.9870  4 O 1.60-1.65
O 0.0530 0.9470 0.6903  2 Si 1.65
O 0.9082 0.7492 0.0848  1 Si 1.60
Si 0.1984 0.5768 0.9581  4 O 1.60-1.65
O 0.2508 0.0918 0.0848  1 Si 1.60
O 0.3838 0.6162 0.5155  2 Si 1.65
O 0.2492 0.4082 0.5848  1 Si 1.60
Si 0.8016 0.4232 0.0419  4 O 1.60-1.65
Li 0.7479 0.7479 0.0000  4 O 2.01-2.02
O 0.4082 0.2492 0.4152  1 Si 1.60
O 0.3241 0.6759 0.9294  2 Si 1.65
Si 0.8149 0.9591 0.3070  4 O 1.60-1.65
Si 0.6984 0.0768 0.5419  4 O 1.60-1.65
Fe 0.3364 0.1636 0.2500  6 O 2.02-2.05
O 0.4985 0.8363 0.8265  1 Si 1.60
O 0.6444 0.0903 0.9948  2 Si 1.64
O 0.0015 0.6637 0.3265  1 Si 1.60
Si 0.9232 0.3016 0.5419  4 O 1.60-1.65
O 0.3363 0.9985 0.3265  1 Si 1.60
O 0.7796 0.5022 0.9128  2 Si 1.64
Si 0.0768 0.6984 0.4581  4 O 1.60-1.65
Si 0.5409 0.6851 0.1930  4 O 1.60-1.65
Na 0.9157 0.0843 0.7484  3 O 2.43-2.48
O 0.3364 0.3265 0.1629  1 Si 1.60
Si 0.6851 0.5409 0.8070  4 O 1.60-1.65
Si 0.9591 0.8149 0.6930  4 O 1.60-1.65
O 0.5918 0.7508 0.5848  1 Si 1.60
Li 0.2521 0.2521 0.0000  4 O 2.01-2.02
O 0.8241 0.1759 0.5706  2 Si 1.65
O 0.6636 0.6735 0.8371  1 Si 1.60
O 0.7492 0.9082 0.9152  1 Si 1.60
Li 0.2479 0.2479 0.5000  4 O 2.01-2.02
O 0.8363 0.4985 0.1735  1 Si 1.60
O 0.0022 0.2796 0.4128  2 Si 1.64
O 0.5247 0.7510 0.3333  2 Si 1.64-1.65
Fe 0.1636 0.3364 0.7500  6 O 2.02-2.05
O 0.5903 0.1444 0.4948  2 Si 1.64
Li 0.7521 0.7521 0.5000  4 O 2.01-2.02
O 0.4753 0.2490 0.6667  2 Si 1.64-1.65
O 0.7508 0.5918 0.4152  1 Si 1.60
Na 0.4157 0.5843 0.7516  3 O 2.43-2.48
O 0.1735 0.1636 0.3371  1 Si 1.60
O 0.9097 0.3556 0.9948  2 Si 1.64
Si 0.5195 0.2561 0.5130  4 O 1.60-1.65
Na 0.0843 0.9157 0.2516  3 O 2.43-2.48
Si 0.4805 0.7439 0.4870  4 O 1.60-1.65
O 0.5022 0.7796 0.0872  2 Si 1.64
O 0.6735 0.6636 0.1629  1 Si 1.60
Si 0.0195 0.7561 0.9870  4 O 1.60-1.65
Fe 0.8364 0.6636 0.2500  6 O 2.02-2.05
O 0.5530 0.4470 0.8097  2 Si 1.65
O 0.2510 0.0247 0.8333  2 Si 1.64-1.65
O 0.2796 0.0022 0.5872  2 Si 1.64
Na 0.5257 0.9743 0.2500  2 O 2.35
O 0.1162 0.8838 0.0155  2 Si 1.65
Na 0.4743 0.0257 0.7500  2 O 2.35
O 0.9470 0.0530 0.3097  2 Si 1.65
O 0.9985 0.3363 0.6735  1 Si 1.60
O 0.7490 0.9753 0.1667  2 Si 1.64-1.65


Energy of formation from the pure elements, respectively: -16.782 -33.560 -60.550 -16.324 -39.118 -64.622 -23.162 -73.553 eV per formula unit.